# 1
A relaxed CrP2H16N3O10 crystal, computed with PBE with a Hubbard U.

Properties
E above lowest polymorph = 11.71 eV per formula unit
energy of formation = -1001 meV/atom
magnetic moment = 0.031 μB per atom
DFT total energy = -5.39 eV/atom

abc: 8.439 10.934 15.571
angles: 90.00 102.77 90.00
Sites, in units of the cell vectors:
Cr  0.133  0.193  0.423
Cr  0.133  0.307  0.923
Cr  0.867  0.693  0.077
Cr  0.867  0.807  0.577
P  0.129  0.582  0.663
P  0.129  0.918  0.163
P  0.139  0.736  0.935
P  0.139  0.764  0.435
P  0.861  0.236  0.565
P  0.861  0.264  0.065
P  0.871  0.082  0.837
P  0.871  0.418  0.337
H  0.059  0.512  0.088
H  0.059  0.515  0.846
H  0.059  0.985  0.346
H  0.059  0.988  0.588
H  0.140  0.587  0.220
H  0.140  0.913  0.720
H  0.214  0.597  0.377
H  0.214  0.903  0.877
H  0.261  0.173  0.062
H  0.261  0.327  0.562
H  0.261  0.598  0.557
H  0.261  0.902  0.057
H  0.265  0.082  0.978
H  0.265  0.418  0.478
H  0.275  0.242  0.293
H  0.275  0.258  0.793
H  0.277  0.683  0.271
H  0.277  0.817  0.771
H  0.295  0.049  0.713
H  0.295  0.451  0.213
H  0.299  0.093  0.578
H  0.299  0.407  0.078
H  0.300  0.509  0.002
H  0.300  0.991  0.502
H  0.321  0.095  0.327
H  0.321  0.405  0.827
H  0.328  0.710  0.058
H  0.328  0.790  0.558
H  0.409  0.187  0.009
H  0.409  0.313  0.509
H  0.456  0.106  0.699
H  0.456  0.394  0.199
H  0.544  0.606  0.801
H  0.544  0.894  0.301
H  0.591  0.687  0.491
H  0.591  0.813  0.991
H  0.672  0.210  0.442
H  0.672  0.290  0.942
H  0.679  0.595  0.173
H  0.679  0.905  0.673
H  0.700  0.009  0.498
H  0.700  0.491  0.998
H  0.701  0.593  0.922
H  0.701  0.907  0.422
H  0.705  0.549  0.787
H  0.705  0.951  0.287
H  0.723  0.183  0.229
H  0.723  0.317  0.729
H  0.725  0.742  0.207
H  0.725  0.758  0.707
H  0.735  0.582  0.522
H  0.735  0.918  0.022
H  0.739  0.098  0.943
H  0.739  0.402  0.443
H  0.739  0.673  0.438
H  0.739  0.827  0.938
H  0.786  0.097  0.123
H  0.786  0.403  0.623
H  0.860  0.087  0.280
H  0.860  0.413  0.780
H  0.941  0.012  0.412
H  0.941  0.015  0.654
H  0.941  0.485  0.154
H  0.941  0.488  0.912
N  0.009  0.553  0.135
N  0.009  0.947  0.635
N  0.266  0.177  0.339
N  0.266  0.323  0.839
N  0.288  0.169  0.001
N  0.288  0.331  0.501
N  0.712  0.669  0.499
N  0.712  0.831  0.999
N  0.734  0.677  0.161
N  0.734  0.823  0.661
N  0.991  0.053  0.365
N  0.991  0.447  0.865
O  0.010  0.728  0.991
O  0.010  0.772  0.491
O  0.012  0.174  0.847
O  0.012  0.326  0.347
O  0.197  0.617  0.439
O  0.197  0.883  0.939
O  0.228  0.613  0.769
O  0.228  0.887  0.269
O  0.239  0.598  0.276
O  0.239  0.902  0.776
O  0.276  0.631  0.617
O  0.276  0.869  0.117
O  0.283  0.079  0.512
O  0.283  0.421  0.012
O  0.309  0.675  0.998
O  0.309  0.825  0.498
O  0.334  0.119  0.683
O  0.334  0.381  0.183
O  0.373  0.544  0.793
O  0.373  0.956  0.293
O  0.627  0.044  0.707
O  0.627  0.456  0.207
O  0.666  0.619  0.817
O  0.666  0.881  0.317
O  0.691  0.175  0.502
O  0.691  0.325  0.002
O  0.717  0.579  0.988
O  0.717  0.921  0.488
O  0.724  0.131  0.883
O  0.724  0.369  0.383
O  0.761  0.098  0.224
O  0.761  0.402  0.724
O  0.772  0.113  0.731
O  0.772  0.387  0.231
O  0.803  0.117  0.061
O  0.803  0.383  0.561
O  0.988  0.674  0.653
O  0.988  0.826  0.153
O  0.990  0.228  0.509
O  0.990  0.272  0.009

# 2
A relaxed CrH10S2N4O8 crystal, computed with PBE with a Hubbard U.

Properties
E above lowest polymorph = 0.00 eV per formula unit
energy of formation = -1052 meV/atom
magnetic moment = 0.000 μB per atom
DFT total energy = -5.74 eV/atom

abc: 5.568 9.484 9.273
angles: 103.69 105.11 84.68
Sites, in units of the cell vectors:
O  0.710  0.553  0.909
O  0.144  0.425  0.308
H  0.252  0.692  0.867
O  0.290  0.947  0.591
H  0.442  0.754  0.044
H  0.705  0.906  0.494
H  0.558  0.746  0.456
O  0.290  0.447  0.091
H  0.295  0.094  0.506
N  0.279  0.198  0.483
H  0.252  0.192  0.367
H  0.116  0.777  0.152
N  0.927  0.222  0.962
S  0.344  0.990  0.762
S  0.656  0.510  0.738
H  0.919  0.213  0.488
N  0.073  0.778  0.038
O  0.672  0.349  0.688
N  0.279  0.698  0.983
H  0.884  0.723  0.348
S  0.344  0.490  0.262
N  0.073  0.278  0.538
H  0.081  0.287  0.012
O  0.144  0.925  0.808
N  0.927  0.722  0.462
H  0.919  0.713  0.988
O  0.328  0.651  0.312
H  0.443  0.254  0.544
O  0.856  0.075  0.192
O  0.593  0.931  0.830
H  0.705  0.406  0.994
O  0.407  0.069  0.170
H  0.116  0.276  0.652
H  0.748  0.808  0.633
N  0.721  0.802  0.517
O  0.710  0.053  0.409
H  0.081  0.787  0.512
Cr  0.000  0.500  0.500
N  0.721  0.302  0.017
O  0.593  0.431  0.330
H  0.884  0.223  0.848
H  0.557  0.246  0.956
O  0.856  0.575  0.692
O  0.672  0.849  0.188
S  0.656  0.010  0.238
H  0.747  0.308  0.133
O  0.328  0.151  0.812
O  0.407  0.569  0.670
Cr  0.000  0.000  0.000
H  0.295  0.594  0.006

# 3
A relaxed CrH20S2N2O14 crystal, computed with PBE with a Hubbard U.

Properties
energy of formation = -1297 meV/atom
magnetic moment = 0.103 μB per atom
DFT total energy = -5.40 eV/atom

abc: 6.136 12.898 9.543
angles: 90.00 107.13 90.00
Sites, in units of the cell vectors:
Cr  0.000  0.000  0.000
Cr  0.000  0.500  0.500
H  0.027  0.191  0.839
H  0.027  0.309  0.339
H  0.047  0.607  0.786
H  0.047  0.893  0.286
H  0.103  0.125  0.240
H  0.103  0.375  0.740
H  0.231  0.154  0.543
H  0.231  0.346  0.043
H  0.325  0.645  0.542
H  0.325  0.855  0.042
H  0.337  0.093  0.207
H  0.337  0.407  0.707
H  0.342  0.569  0.413
H  0.342  0.931  0.913
H  0.351  0.067  0.677
H  0.351  0.433  0.177
H  0.421  0.194  0.705
H  0.421  0.306  0.205
H  0.487  0.623  0.916
H  0.487  0.877  0.416
H  0.513  0.123  0.584
H  0.513  0.377  0.084
H  0.579  0.694  0.795
H  0.579  0.806  0.295
H  0.649  0.567  0.823
H  0.649  0.933  0.323
H  0.658  0.069  0.087
H  0.658  0.431  0.587
H  0.663  0.593  0.293
H  0.663  0.907  0.793
H  0.675  0.145  0.958
H  0.675  0.355  0.458
H  0.769  0.654  0.957
H  0.769  0.846  0.457
H  0.897  0.625  0.260
H  0.897  0.875  0.760
H  0.953  0.107  0.714
H  0.953  0.393  0.214
H  0.973  0.691  0.661
H  0.973  0.809  0.161
S  0.252  0.643  0.111
S  0.252  0.857  0.611
S  0.748  0.143  0.389
S  0.748  0.357  0.889
N  0.377  0.135  0.627
N  0.377  0.365  0.127
N  0.623  0.635  0.873
N  0.623  0.865  0.373
O  0.021  0.673  0.123
O  0.021  0.827  0.623
O  0.051  0.118  0.816
O  0.051  0.382  0.316
O  0.172  0.106  0.162
O  0.172  0.394  0.662
O  0.229  0.589  0.970
O  0.229  0.911  0.470
O  0.305  0.572  0.508
O  0.305  0.928  0.008
O  0.367  0.571  0.236
O  0.367  0.929  0.736
O  0.397  0.737  0.122
O  0.397  0.763  0.622
O  0.603  0.237  0.378
O  0.603  0.263  0.878
O  0.633  0.071  0.264
O  0.633  0.429  0.764
O  0.695  0.072  0.992
O  0.695  0.428  0.492
O  0.771  0.089  0.530
O  0.771  0.411  0.030
O  0.828  0.606  0.338
O  0.828  0.894  0.838
O  0.949  0.618  0.684
O  0.949  0.882  0.184
O  0.979  0.173  0.377
O  0.979  0.327  0.877

# 4
A relaxed CrH10S2N4O8 crystal, computed with PBE with a Hubbard U.

Properties
E above lowest polymorph = 18.74 eV per formula unit
energy of formation = -302 meV/atom
magnetic moment = 0.160 μB per atom
DFT total energy = -4.99 eV/atom

abc: 5.536 5.804 7.348
angles: 91.81 103.37 97.50
Sites, in units of the cell vectors:
Cr  0.000  0.000  0.000
H  0.169  0.244  0.555
H  0.268  0.917  0.709
H  0.285  0.443  0.789
H  0.376  0.123  0.929
H  0.408  0.292  0.597
H  0.592  0.708  0.403
H  0.624  0.877  0.071
H  0.715  0.557  0.211
H  0.732  0.083  0.291
H  0.831  0.756  0.445
S  0.227  0.656  0.251
S  0.773  0.344  0.749
N  0.257  0.075  0.819
N  0.280  0.276  0.678
N  0.720  0.724  0.322
N  0.743  0.925  0.181
O  0.094  0.408  0.240
O  0.120  0.861  0.268
O  0.339  0.671  0.041
O  0.355  0.707  0.466
O  0.645  0.293  0.534
O  0.661  0.329  0.959
O  0.880  0.139  0.732
O  0.906  0.592  0.760

# 5
A relaxed Na5CrHO4 crystal, computed with PBE with a Hubbard U.

Properties
energy of formation = -1544 meV/atom
magnetic moment = 0.068 μB per atom
DFT total energy = -4.70 eV/atom

abc: 10.092 10.132 12.363
angles: 90.00 90.00 90.00
Sites, in units of the cell vectors:
Na  0.008  0.091  0.210
Na  0.008  0.409  0.210
Na  0.079  0.072  0.586
Na  0.079  0.428  0.586
Na  0.087  0.750  0.551
Na  0.119  0.250  0.014
Na  0.130  0.569  0.016
Na  0.130  0.931  0.016
Na  0.221  0.584  0.320
Na  0.221  0.916  0.320
Na  0.279  0.084  0.820
Na  0.279  0.416  0.820
Na  0.370  0.069  0.516
Na  0.370  0.431  0.516
Na  0.381  0.750  0.514
Na  0.413  0.250  0.051
Na  0.421  0.572  0.086
Na  0.421  0.928  0.086
Na  0.492  0.591  0.710
Na  0.492  0.909  0.710
Na  0.508  0.091  0.290
Na  0.508  0.409  0.290
Na  0.579  0.072  0.914
Na  0.579  0.428  0.914
Na  0.587  0.750  0.949
Na  0.619  0.250  0.486
Na  0.630  0.569  0.484
Na  0.630  0.931  0.484
Na  0.721  0.584  0.180
Na  0.721  0.916  0.180
Na  0.779  0.084  0.680
Na  0.779  0.416  0.680
Na  0.870  0.069  0.984
Na  0.870  0.431  0.984
Na  0.881  0.750  0.986
Na  0.913  0.250  0.449
Na  0.921  0.572  0.414
Na  0.921  0.928  0.414
Na  0.992  0.591  0.790
Na  0.992  0.909  0.790
Cr  0.011  0.250  0.789
Cr  0.201  0.250  0.380
Cr  0.299  0.750  0.880
Cr  0.489  0.750  0.289
Cr  0.511  0.250  0.711
Cr  0.701  0.250  0.120
Cr  0.799  0.750  0.620
Cr  0.989  0.750  0.211
H  0.244  0.634  0.682
H  0.244  0.866  0.682
H  0.256  0.134  0.182
H  0.256  0.366  0.182
H  0.744  0.634  0.818
H  0.744  0.866  0.818
H  0.756  0.134  0.318
H  0.756  0.366  0.318
O  0.060  0.750  0.356
O  0.062  0.096  0.879
O  0.062  0.404  0.879
O  0.102  0.099  0.390
O  0.102  0.401  0.390
O  0.117  0.750  0.883
O  0.249  0.585  0.614
O  0.249  0.915  0.614
O  0.251  0.085  0.114
O  0.251  0.415  0.114
O  0.383  0.250  0.383
O  0.398  0.599  0.890
O  0.398  0.901  0.890
O  0.438  0.596  0.379
O  0.438  0.904  0.379
O  0.440  0.250  0.856
O  0.560  0.750  0.144
O  0.562  0.096  0.621
O  0.562  0.404  0.621
O  0.602  0.099  0.110
O  0.602  0.401  0.110
O  0.617  0.750  0.617
O  0.749  0.585  0.886
O  0.749  0.915  0.886
O  0.751  0.085  0.386
O  0.751  0.415  0.386
O  0.883  0.250  0.117
O  0.898  0.599  0.610
O  0.898  0.901  0.610
O  0.938  0.596  0.121
O  0.938  0.904  0.121
O  0.940  0.250  0.644

Q: Among the records above, which one has the highest energy of formation?
A: number 4